1.
Entry from the Materials Project: a relaxed structure of Tm2N3 (PBE).

Output
**ΔE_f**: -0.768 eV/atom
**Total moment**: 0.5999 μB per atom

a = 9.3200 Å, b = 9.3200 Å, c = 9.3200 Å
α = 109.47°, β = 109.47°, γ = 109.47°
Atoms (fractional coordinates):
N  0.5101  0.7699  0.5374
N  0.4899  0.2301  0.4626
N  0.9899  0.5273  0.2599
N  0.9626  0.7325  0.9727
N  0.2599  0.9899  0.5273
N  0.7699  0.5374  0.5101
N  0.7401  0.0101  0.4727
N  0.2675  0.0273  0.0374
N  0.2401  0.7675  0.7301
N  0.2699  0.7599  0.2325
N  0.9727  0.9626  0.7325
N  0.7325  0.9727  0.9626
N  0.7599  0.2325  0.2699
N  0.7301  0.2401  0.7675
N  0.5273  0.2599  0.9899
N  0.0273  0.0374  0.2675
N  0.2301  0.4626  0.4899
N  0.0101  0.4727  0.7401
N  0.4727  0.7401  0.0101
N  0.0374  0.2675  0.0273
N  0.7675  0.7301  0.2401
N  0.5374  0.5101  0.7699
N  0.2325  0.2699  0.7599
N  0.4626  0.4899  0.2301
Tm  0.9700  0.2200  0.7500
Tm  0.4700  0.7200  0.7500
Tm  0.0300  0.7800  0.2500
Tm  0.5300  0.2800  0.2500
Tm  0.7800  0.2500  0.0300
Tm  0.5000  0.0000  0.5000
Tm  0.2500  0.5300  0.2800
Tm  0.7500  0.4700  0.7200
Tm  0.5000  0.5000  0.0000
Tm  0.2500  0.0300  0.7800
Tm  0.0000  0.5000  0.5000
Tm  0.2200  0.7500  0.9700
Tm  0.2800  0.2500  0.5300
Tm  0.0000  0.0000  0.0000
Tm  0.7500  0.9700  0.2200
Tm  0.7200  0.7500  0.4700

=====

2.
Entry from the Materials Project: a relaxed structure of U3N (PBE).

Output
**ΔE_f**: 0.212 eV/atom
**Total moment**: 0.2235 μB per atom

a = 4.0316 Å, b = 4.0316 Å, c = 4.0316 Å
α = 90.00°, β = 90.00°, γ = 90.00°
Atoms (fractional coordinates):
U  0.0000  0.5000  0.5000
U  0.5000  0.0000  0.5000
U  0.5000  0.5000  0.0000
N  0.0000  0.0000  0.0000